Computed, not measured: crystalline EuMg2H5 at its relaxed geometry at the PBE level of DFT.

Summary:
SG: P4/mmm
Formation enthalpy at 0 K in meV per atom: -334.0
Total DFT energy (no corrections) in eV per atom: -4.02

Unit cell a=3.687 b=3.687 c=7.738 alpha=90.00 beta=90.00 gamma=90.00
Atoms (fractional coordinates):
Mg: 0.500 0.500 0.707
H: 0.500 0.500 0.000
Eu: 0.000 0.000 0.000
Mg: 0.500 0.500 0.293
H: 0.500 0.000 0.786
H: 0.000 0.500 0.786
H: 0.000 0.500 0.214
H: 0.500 0.000 0.214

Computed, not measured: crystalline CsMg14Sn at its relaxed geometry at the PBE level of DFT.

Summary:
SG: P-6m2
Formation enthalpy at 0 K in meV per atom: 152.2
Total DFT energy (no corrections) in eV per atom: -1.55

Unit cell a=6.556 b=6.556 c=10.934 alpha=90.00 beta=90.00 gamma=120.00
Atoms (fractional coordinates):
Mg: 0.833 0.667 0.381
Mg: 0.339 0.161 0.889
Mg: 0.822 0.161 0.889
Mg: 0.339 0.161 0.361
Mg: 0.822 0.161 0.361
Mg: 0.669 0.338 0.125
Mg: 0.339 0.678 0.889
Mg: 0.162 0.831 0.125
Mg: 0.339 0.678 0.361
Mg: 0.664 0.328 0.625
Mg: 0.669 0.831 0.125
Cs: 0.167 0.333 0.625
Mg: 0.664 0.836 0.625
Mg: 0.172 0.836 0.625
Mg: 0.833 0.667 0.869
Sn: 0.167 0.333 0.125

Computed, not measured: crystalline MnZnN2 at its relaxed geometry at the PBE level of DFT.

Summary:
SG: Pbca
Formation enthalpy at 0 K in meV per atom: -159.6
Total DFT energy (no corrections) in eV per atom: -6.75

Unit cell a=5.212 b=11.112 c=13.049 alpha=90.00 beta=90.00 gamma=90.00
Atoms (fractional coordinates):
N: 0.132 0.274 0.805
Zn: 0.849 0.208 0.571
Zn: 0.915 0.955 0.678
N: 0.745 0.299 0.446
Zn: 0.849 0.292 0.071
N: 0.868 0.726 0.195
N: 0.290 0.534 0.944
N: 0.277 0.466 0.195
N: 0.745 0.201 0.946
Mn: 0.368 0.047 0.564
Zn: 0.585 0.045 0.178
N: 0.632 0.226 0.195
N: 0.710 0.034 0.556
N: 0.210 0.466 0.444
N: 0.290 0.966 0.444
N: 0.223 0.534 0.695
Mn: 0.868 0.047 0.936
N: 0.723 0.534 0.805
Mn: 0.193 0.795 0.195
Zn: 0.151 0.708 0.929
Mn: 0.868 0.453 0.436
N: 0.255 0.701 0.554
Zn: 0.415 0.955 0.822
Zn: 0.085 0.455 0.822
N: 0.755 0.701 0.946
N: 0.755 0.799 0.446
Mn: 0.693 0.795 0.305
N: 0.632 0.274 0.695
Zn: 0.085 0.045 0.322
Mn: 0.193 0.705 0.695
N: 0.790 0.966 0.056
Mn: 0.807 0.295 0.305
Zn: 0.415 0.545 0.322
N: 0.245 0.201 0.554
N: 0.277 0.034 0.695
Mn: 0.693 0.705 0.805
N: 0.790 0.534 0.556
Mn: 0.807 0.205 0.805
Zn: 0.915 0.545 0.178
Mn: 0.632 0.547 0.936
Mn: 0.307 0.205 0.695
N: 0.255 0.799 0.054
Mn: 0.368 0.453 0.064
N: 0.723 0.966 0.305
N: 0.132 0.226 0.305
N: 0.368 0.726 0.305
N: 0.368 0.774 0.805
Zn: 0.151 0.792 0.429
N: 0.245 0.299 0.054
N: 0.777 0.034 0.805
Zn: 0.651 0.792 0.071
Mn: 0.632 0.953 0.436
N: 0.223 0.966 0.195
Zn: 0.349 0.208 0.929
Zn: 0.651 0.708 0.571
Mn: 0.132 0.547 0.564
Zn: 0.349 0.292 0.429
Zn: 0.585 0.455 0.678
N: 0.868 0.774 0.695
Mn: 0.132 0.953 0.064
N: 0.710 0.466 0.056
N: 0.777 0.466 0.305
Mn: 0.307 0.295 0.195
N: 0.210 0.034 0.944

Computed, not measured: crystalline Ta4N5 at its relaxed geometry at the PBE level of DFT.

Summary:
SG: I4/m
Formation enthalpy at 0 K in meV per atom: -1289.0
Total DFT energy (no corrections) in eV per atom: -10.99

Unit cell a=5.330 b=5.330 c=5.330 alpha=99.34 beta=99.34 gamma=132.48
Atoms (fractional coordinates):
Ta: 0.605 0.216 0.821
N: 0.307 0.092 0.399
Ta: 0.216 0.395 0.611
Ta: 0.395 0.784 0.179
N: 0.500 0.500 0.000
Ta: 0.784 0.605 0.389
N: 0.092 0.693 0.784
N: 0.908 0.307 0.216
N: 0.693 0.908 0.601

Computed, not measured: crystalline YN3Cl6 at its relaxed geometry at the PBE level of DFT.

Summary:
SG: Fm-3m
Formation enthalpy at 0 K in meV per atom: 649.6
Total DFT energy (no corrections) in eV per atom: -3.24

Unit cell a=8.836 b=8.836 c=8.836 alpha=60.00 beta=60.00 gamma=60.00
Atoms (fractional coordinates):
Cl: 0.210 0.790 0.210
Cl: 0.210 0.790 0.790
N: 0.750 0.750 0.750
Cl: 0.790 0.790 0.210
Cl: 0.790 0.210 0.210
Cl: 0.210 0.210 0.790
N: 0.250 0.250 0.250
Y: 0.000 0.000 0.000
Cl: 0.790 0.210 0.790
N: 0.500 0.500 0.500

Computed, not measured: crystalline Te2Au at its relaxed geometry at the PBE level of DFT.

Summary:
SG: Pma2
Formation enthalpy at 0 K in meV per atom: -89.9
Total DFT energy (no corrections) in eV per atom: -3.28

Unit cell a=4.513 b=8.953 c=16.880 alpha=90.00 beta=90.00 gamma=90.00
Atoms (fractional coordinates):
Te: 0.907 0.303 0.006
Te: 0.448 0.030 0.380
Te: 0.520 0.639 0.371
Au: 0.493 0.667 0.874
Te: 0.448 0.970 0.620
Te: 0.907 0.697 0.994
Au: 0.493 0.667 0.626
Au: 0.010 0.325 0.750
Te: 0.448 0.970 0.880
Te: 0.019 0.021 0.750
Te: 0.520 0.361 0.871
Au: 0.960 0.000 0.500
Au: 0.493 0.333 0.374
Te: 0.907 0.697 0.506
Te: 0.106 0.625 0.750
Te: 0.019 0.979 0.250
Te: 0.448 0.030 0.120
Au: 0.493 0.333 0.126
Te: 0.907 0.303 0.494
Au: 0.010 0.675 0.250
Te: 0.106 0.375 0.250
Te: 0.520 0.639 0.129
Au: 0.960 0.000 0.000
Te: 0.520 0.361 0.629

Computed, not measured: crystalline Eu2Cu4Si3Ge at its relaxed geometry at the PBE level of DFT.

Summary:
SG: P4mm
Formation enthalpy at 0 K in meV per atom: -454.7
Total DFT energy (no corrections) in eV per atom: -6.24

Unit cell a=4.142 b=4.142 c=9.909 alpha=90.00 beta=90.00 gamma=90.00
Atoms (fractional coordinates):
Ge: 0.500 0.500 0.119
Si: 0.000 0.000 0.380
Cu: 0.000 0.500 0.257
Eu: 0.000 0.000 0.997
Si: 0.000 0.000 0.621
Cu: 0.000 0.500 0.749
Si: 0.500 0.500 0.871
Cu: 0.500 0.000 0.257
Eu: 0.500 0.500 0.501
Cu: 0.500 0.000 0.749

Computed, not measured: crystalline Mg3Zr at its relaxed geometry at the PBE level of DFT.

Summary:
SG: P6_3/mmc
Formation enthalpy at 0 K in meV per atom: 42.1
Total DFT energy (no corrections) in eV per atom: -3.30

Unit cell a=6.352 b=6.352 c=5.037 alpha=90.00 beta=90.00 gamma=120.00
Atoms (fractional coordinates):
Mg: 0.167 0.334 0.750
Mg: 0.334 0.167 0.250
Mg: 0.666 0.833 0.750
Zr: 0.333 0.667 0.250
Mg: 0.833 0.666 0.250
Zr: 0.667 0.333 0.750
Mg: 0.833 0.167 0.250
Mg: 0.167 0.833 0.750